{"formula": "Rb3AsSe16", "functional": "PBE", "state": "optimized geometry", "lattice": [[0.000, 8.556, 8.556], [8.556, 0.000, 8.556], [8.556, 8.556, 0.000]], "species": ["Rb", "Rb", "Rb", "Rb", "Rb", "Rb", "As", "As", "Se", "Se", "Se", "Se", "Se", "Se", "Se", "Se", "Se", "Se", "Se", "Se", "Se", "Se", "Se", "Se", "Se", "Se", "Se", "Se", "Se", "Se", "Se", "Se", "Se", "Se", "Se", "Se", "Se", "Se", "Se", "Se"], "fractional_positions": [[0.000, 0.000, 0.000], [0.000, 0.000, 0.500], [0.000, 0.500, 0.000], [0.375, 0.375, 0.375], [0.500, 0.000, 0.000], [0.625, 0.625, 0.625], [0.125, 0.125, 0.125], [0.875, 0.875, 0.875], [0.051, 0.312, 0.673], [0.051, 0.463, 0.312], [0.051, 0.673, 0.463], [0.115, 0.795, 0.795], [0.205, 0.205, 0.205], [0.205, 0.205, 0.885], [0.205, 0.885, 0.205], [0.312, 0.051, 0.463], [0.312, 0.463, 0.673], [0.312, 0.673, 0.051], [0.327, 0.537, 0.949], [0.327, 0.688, 0.537], [0.327, 0.949, 0.688], [0.463, 0.051, 0.673], [0.463, 0.312, 0.051], [0.463, 0.673, 0.312], [0.537, 0.327, 0.688], [0.537, 0.688, 0.949], [0.537, 0.949, 0.327], [0.673, 0.051, 0.312], [0.673, 0.312, 0.463], [0.673, 0.463, 0.051], [0.688, 0.327, 0.949], [0.688, 0.537, 0.327], [0.688, 0.949, 0.537], [0.795, 0.115, 0.795], [0.795, 0.795, 0.115], [0.795, 0.795, 0.795], [0.885, 0.205, 0.205], [0.949, 0.327, 0.537], [0.949, 0.537, 0.688], [0.949, 0.688, 0.327]], "corrected_energy_ev_per_fu": -77.71, "e_form_kj_per_mol_fu": -1367}

=====

{"formula": "Rb5SiAs3", "functional": "PBE", "state": "optimized geometry", "lattice": [[14.430, 0.000, 0.000], [0.000, 5.723, 0.000], [0.000, 0.000, 15.878]], "species": ["Rb", "Rb", "Rb", "Rb", "Rb", "Rb", "Rb", "Rb", "Rb", "Rb", "Rb", "Rb", "Rb", "Rb", "Rb", "Rb", "Rb", "Rb", "Rb", "Rb", "Si", "Si", "Si", "Si", "As", "As", "As", "As", "As", "As", "As", "As", "As", "As", "As", "As"], "fractional_positions": [[0.052, 0.250, 0.147], [0.067, 0.250, 0.442], [0.113, 0.250, 0.681], [0.150, 0.750, 0.039], [0.223, 0.750, 0.785], [0.277, 0.250, 0.285], [0.350, 0.250, 0.539], [0.387, 0.750, 0.181], [0.433, 0.750, 0.942], [0.448, 0.750, 0.647], [0.552, 0.250, 0.353], [0.567, 0.250, 0.058], [0.613, 0.250, 0.819], [0.650, 0.750, 0.461], [0.723, 0.750, 0.715], [0.777, 0.250, 0.215], [0.850, 0.250, 0.961], [0.887, 0.750, 0.319], [0.933, 0.750, 0.558], [0.948, 0.750, 0.853], [0.239, 0.750, 0.425], [0.261, 0.250, 0.925], [0.739, 0.750, 0.075], [0.761, 0.250, 0.575], [0.102, 0.250, 0.903], [0.135, 0.750, 0.312], [0.187, 0.750, 0.563], [0.313, 0.250, 0.063], [0.365, 0.250, 0.812], [0.398, 0.750, 0.403], [0.602, 0.250, 0.597], [0.635, 0.750, 0.188], [0.687, 0.750, 0.937], [0.813, 0.250, 0.437], [0.865, 0.250, 0.688], [0.898, 0.750, 0.097]], "e_form_kj_per_mol_fu": -338}

=====

{"formula": "RbZn4As3", "functional": "PBE", "state": "optimized geometry", "lattice": [[4.201, 0.000, 0.000], [0.000, 4.201, 0.000], [0.000, 0.000, 10.520]], "species": ["Rb", "Zn", "Zn", "Zn", "Zn", "As", "As", "As"], "fractional_positions": [[0.000, 0.000, 0.000], [0.000, 0.500, 0.341], [0.000, 0.500, 0.659], [0.500, 0.000, 0.341], [0.500, 0.000, 0.659], [0.000, 0.000, 0.500], [0.500, 0.500, 0.208], [0.500, 0.500, 0.792]], "e_form_kj_per_mol_fu": -232}

=====

{"formula": "SrAs4Rh6", "functional": "PBE", "state": "optimized geometry", "lattice": [[7.311, 0.000, 0.000], [-3.656, 6.332, 0.000], [0.000, 0.000, 3.877]], "species": ["Sr", "As", "As", "As", "As", "Rh", "Rh", "Rh", "Rh", "Rh", "Rh"], "fractional_positions": [[0.000, 0.000, 0.000], [0.333, 0.667, 0.000], [0.382, 0.191, 0.500], [0.809, 0.191, 0.500], [0.809, 0.618, 0.500], [0.202, 0.404, 0.500], [0.202, 0.798, 0.500], [0.535, 0.070, 0.000], [0.535, 0.465, 0.000], [0.596, 0.798, 0.500], [0.930, 0.465, 0.000]], "e_form_kj_per_mol_fu": -661}

=====

{"formula": "Sr6As19Rh30", "functional": "PBE", "state": "optimized geometry", "lattice": [[16.333, 0.000, 0.000], [-8.166, 14.145, 0.000], [0.000, 0.000, 3.972]], "species": ["Sr", "Sr", "Sr", "Sr", "Sr", "Sr", "As", "As", "As", "As", "As", "As", "As", "As", "As", "As", "As", "As", "As", "As", "As", "As", "As", "As", "As", "Rh", "Rh", "Rh", "Rh", "Rh", "Rh", "Rh", "Rh", "Rh", "Rh", "Rh", "Rh", "Rh", "Rh", "Rh", "Rh", "Rh", "Rh", "Rh", "Rh", "Rh", "Rh", "Rh", "Rh", "Rh", "Rh", "Rh", "Rh", "Rh", "Rh"], "fractional_positions": [[0.037, 0.274, 0.000], [0.237, 0.963, 0.000], [0.430, 0.370, 0.500], [0.630, 0.060, 0.500], [0.726, 0.763, 0.000], [0.940, 0.570, 0.500], [0.016, 0.116, 0.500], [0.078, 0.549, 0.000], [0.101, 0.984, 0.500], [0.195, 0.411, 0.498], [0.217, 0.805, 0.498], [0.270, 0.233, 0.000], [0.333, 0.667, 0.660], [0.397, 0.101, 0.499], [0.451, 0.529, 0.000], [0.471, 0.922, 0.000], [0.566, 0.349, 0.999], [0.589, 0.783, 0.498], [0.651, 0.217, 0.999], [0.704, 0.603, 0.499], [0.767, 0.037, 0.000], [0.783, 0.434, 0.999], [0.884, 0.899, 0.500], [0.899, 0.296, 0.499], [0.963, 0.730, 0.000], [0.057, 0.441, 0.498], [0.070, 0.819, 0.500], [0.108, 0.093, 0.000], [0.108, 0.718, 0.001], [0.181, 0.250, 0.500], [0.181, 0.642, 0.499], [0.211, 0.520, 0.996], [0.260, 0.130, 0.501], [0.282, 0.390, 0.001], [0.309, 0.789, 0.996], [0.358, 0.539, 0.499], [0.384, 0.943, 0.498], [0.407, 0.204, 0.999], [0.461, 0.819, 0.499], [0.480, 0.691, 0.996], [0.486, 0.083, 0.000], [0.558, 0.240, 0.500], [0.559, 0.616, 0.498], [0.597, 0.514, 0.000], [0.610, 0.892, 0.001], [0.681, 0.442, 0.500], [0.750, 0.930, 0.500], [0.760, 0.319, 0.500], [0.796, 0.203, 0.999], [0.797, 0.593, 0.999], [0.870, 0.129, 0.501], [0.871, 0.740, 0.501], [0.907, 0.015, 0.000], [0.917, 0.403, 0.000], [0.985, 0.892, 0.000]], "e_form_kj_per_mol_fu": -3501}

=====

{"formula": "VAsRh", "functional": "PBE", "state": "optimized geometry", "lattice": [[6.156, 0.000, 0.000], [0.000, 3.908, 0.000], [0.000, 0.000, 7.301]], "species": ["V", "V", "V", "V", "As", "As", "As", "As", "Rh", "Rh", "Rh", "Rh"], "fractional_positions": [[0.031, 0.250, 0.178], [0.469, 0.750, 0.678], [0.531, 0.250, 0.322], [0.969, 0.750, 0.822], [0.242, 0.250, 0.881], [0.258, 0.750, 0.381], [0.742, 0.250, 0.619], [0.758, 0.750, 0.119], [0.146, 0.250, 0.563], [0.354, 0.750, 0.063], [0.646, 0.250, 0.937], [0.854, 0.750, 0.437]], "e_form_kj_per_mol_fu": -134}

=====

{"formula": "TeAsRu", "functional": "PBE", "state": "optimized geometry", "lattice": [[6.444, 0.000, 0.000], [0.000, 6.365, 0.000], [-2.594, 0.000, 5.949]], "species": ["Te", "Te", "Te", "Te", "As", "As", "As", "As", "Ru", "Ru", "Ru", "Ru"], "fractional_positions": [[0.155, 0.126, 0.367], [0.155, 0.374, 0.867], [0.845, 0.626, 0.133], [0.845, 0.874, 0.633], [0.354, 0.645, 0.671], [0.354, 0.855, 0.171], [0.646, 0.145, 0.829], [0.646, 0.355, 0.329], [0.284, 0.508, 0.295], [0.284, 0.992, 0.795], [0.716, 0.008, 0.205], [0.716, 0.492, 0.705]], "e_form_kj_per_mol_fu": -121}

=====

{"formula": "U4As6Ru7", "functional": "PBE", "state": "optimized geometry", "lattice": [[-4.177, 4.177, 4.177], [4.177, -4.177, 4.177], [4.177, 4.177, -4.177]], "species": ["U", "U", "U", "U", "As", "As", "As", "As", "As", "As", "Ru", "Ru", "Ru", "Ru", "Ru", "Ru", "Ru"], "fractional_positions": [[0.000, 0.000, 0.500], [0.000, 0.500, 0.000], [0.500, 0.000, 0.000], [0.500, 0.500, 0.500], [0.000, 0.309, 0.309], [0.000, 0.691, 0.691], [0.309, 0.000, 0.309], [0.309, 0.309, 0.000], [0.691, 0.000, 0.691], [0.691, 0.691, 0.000], [0.000, 0.000, 0.000], [0.250, 0.500, 0.750], [0.250, 0.750, 0.500], [0.500, 0.250, 0.750], [0.500, 0.750, 0.250], [0.750, 0.250, 0.500], [0.750, 0.500, 0.250]], "e_form_kj_per_mol_fu": -935}

=====

{"formula": "As24S25", "functional": "PBE", "state": "optimized geometry", "lattice": [[6.875, 0.000, 0.000], [1.999, 9.119, 0.000], [0.718, 3.607, 24.118]], "species": ["As", "As", "As", "As", "As", "As", "As", "As", "As", "As", "As", "As", "As", "As", "As", "As", "As", "As", "As", "As", "As", "As", "As", "As", "S", "S", "S", "S", "S", "S", "S", "S", "S", "S", "S", "S", "S", "S", "S", "S", "S", "S", "S", "S", "S", "S", "S", "S", "S"], "fractional_positions": [[0.000, 0.000, 0.000], [0.004, 0.379, 0.127], [0.010, 0.530, 0.600], [0.028, 0.465, 0.502], [0.125, 0.940, 0.102], [0.137, 0.240, 0.988], [0.173, 0.689, 0.203], [0.279, 0.369, 0.848], [0.307, 0.506, 0.134], [0.337, 0.919, 0.673], [0.395, 0.930, 0.252], [0.465, 0.219, 0.637], [0.470, 0.987, 0.759], [0.514, 0.161, 0.974], [0.514, 0.436, 0.997], [0.523, 0.665, 0.848], [0.566, 0.453, 0.789], [0.606, 0.010, 0.545], [0.680, 0.414, 0.526], [0.700, 0.010, 0.290], [0.767, 0.371, 0.328], [0.789, 0.170, 0.587], [0.880, 0.833, 0.494], [0.906, 0.062, 0.203], [0.044, 0.768, 0.580], [0.049, 0.963, 0.442], [0.061, 0.253, 0.215], [0.086, 0.304, 0.784], [0.164, 0.749, 0.730], [0.196, 0.226, 0.530], [0.200, 0.772, 0.810], [0.227, 0.203, 0.081], [0.283, 0.834, 0.032], [0.345, 0.605, 0.927], [0.431, 0.175, 0.475], [0.437, 0.523, 0.341], [0.456, 0.648, 0.267], [0.468, 0.891, 0.168], [0.473, 0.139, 0.884], [0.522, 0.340, 0.193], [0.598, 0.192, 0.722], [0.642, 0.813, 0.708], [0.669, 0.546, 0.599], [0.678, 0.199, 0.140], [0.819, 0.467, 0.993], [0.839, 0.287, 0.834], [0.898, 0.297, 0.405], [0.922, 0.788, 0.321], [0.936, 0.624, 0.271]], "corrected_energy_ev_per_fu": -222.72, "e_form_kj_per_mol_fu": -722}

=====

{"formula": "AsS2", "functional": "PBE", "state": "optimized geometry", "lattice": [[7.366, 0.000, 0.000], [0.000, 10.391, 0.000], [-2.287, 0.000, 7.822]], "species": ["As", "As", "As", "As", "As", "As", "As", "As", "S", "S", "S", "S", "S", "S", "S", "S", "S", "S", "S", "S", "S", "S", "S", "S"], "fractional_positions": [[0.039, 0.000, 0.376], [0.112, 0.489, 0.157], [0.264, 0.704, 0.935], [0.404, 0.702, 0.467], [0.596, 0.202, 0.533], [0.736, 0.204, 0.065], [0.888, 0.989, 0.843], [0.961, 0.500, 0.624], [0.050, 0.709, 0.662], [0.060, 0.704, 0.110], [0.237, 0.027, 0.654], [0.272, 0.995, 0.227], [0.312, 0.489, 0.979], [0.314, 0.492, 0.432], [0.365, 0.204, 0.680], [0.402, 0.172, 0.251], [0.598, 0.672, 0.749], [0.635, 0.704, 0.320], [0.686, 0.992, 0.568], [0.688, 0.989, 0.021], [0.728, 0.495, 0.773], [0.763, 0.527, 0.346], [0.940, 0.204, 0.890], [0.950, 0.209, 0.338]], "corrected_energy_ev_per_fu": -14.14, "e_form_kj_per_mol_fu": -117}

=====

{"formula": "As4S3", "functional": "PBE", "state": "optimized geometry", "lattice": [[12.124, 0.000, 0.000], [0.000, 10.788, 0.000], [0.000, 0.000, 7.077]], "species": ["As", "As", "As", "As", "As", "As", "As", "As", "As", "As", "As", "As", "As", "As", "As", "As", "S", "S", "S", "S", "S", "S", "S", "S", "S", "S", "S", "S"], "fractional_positions": [[0.072, 0.133, 0.224], [0.072, 0.367, 0.224], [0.075, 0.750, 0.601], [0.180, 0.250, 0.660], [0.320, 0.750, 0.160], [0.425, 0.250, 0.101], [0.428, 0.633, 0.724], [0.428, 0.867, 0.724], [0.572, 0.133, 0.276], [0.572, 0.367, 0.276], [0.575, 0.750, 0.899], [0.680, 0.250, 0.840], [0.820, 0.750, 0.340], [0.925, 0.250, 0.399], [0.928, 0.633, 0.776], [0.928, 0.867, 0.776], [0.006, 0.750, 0.307], [0.194, 0.092, 0.452], [0.194, 0.408, 0.452], [0.306, 0.592, 0.952], [0.306, 0.908, 0.952], [0.494, 0.250, 0.807], [0.506, 0.750, 0.193], [0.694, 0.092, 0.048], [0.694, 0.408, 0.048], [0.806, 0.592, 0.548], [0.806, 0.908, 0.548], [0.994, 0.250, 0.693]], "corrected_energy_ev_per_fu": -33.31, "e_form_kj_per_mol_fu": -218, "de_polymorph_mev_per_atom": 3.3}

=====

{"formula": "As4S3", "functional": "PBE", "state": "optimized geometry", "lattice": [[9.745, 0.000, 0.000], [0.000, 8.867, 0.000], [0.000, 0.000, 10.945]], "species": ["As", "As", "As", "As", "As", "As", "As", "As", "As", "As", "As", "As", "As", "As", "As", "As", "S", "S", "S", "S", "S", "S", "S", "S", "S", "S", "S", "S"], "fractional_positions": [[0.008, 0.250, 0.071], [0.151, 0.607, 0.789], [0.151, 0.893, 0.789], [0.166, 0.250, 0.550], [0.334, 0.750, 0.050], [0.349, 0.107, 0.289], [0.349, 0.393, 0.289], [0.492, 0.750, 0.571], [0.508, 0.250, 0.429], [0.651, 0.607, 0.711], [0.651, 0.893, 0.711], [0.666, 0.250, 0.950], [0.834, 0.750, 0.450], [0.849, 0.107, 0.211], [0.849, 0.393, 0.211], [0.992, 0.750, 0.929], [0.110, 0.750, 0.104], [0.173, 0.058, 0.414], [0.173, 0.442, 0.414], [0.327, 0.558, 0.914], [0.327, 0.942, 0.914], [0.390, 0.250, 0.604], [0.610, 0.750, 0.396], [0.673, 0.058, 0.086], [0.673, 0.442, 0.086], [0.827, 0.558, 0.586], [0.827, 0.942, 0.586], [0.890, 0.250, 0.896]], "corrected_energy_ev_per_fu": -33.33, "e_form_kj_per_mol_fu": -221, "de_polymorph_mev_per_atom": 0.0}

=====

{"formula": "As2S", "functional": "PBE", "state": "optimized geometry", "lattice": [[-3.506, 3.506, 2.486], [3.506, -3.506, 2.486], [3.506, 3.506, -2.486]], "species": ["As", "As", "As", "As", "S", "S"], "fractional_positions": [[0.000, 0.000, 0.000], [0.000, 0.000, 0.500], [0.000, 0.500, 0.000], [0.500, 0.000, 0.500], [0.375, 0.625, 0.750], [0.625, 0.375, 0.250]], "corrected_energy_ev_per_fu": -13.77, "e_form_kj_per_mol_fu": -30}